A geometry-optimized LiHg3 structure. Source: Materials Project, functional PBE.

Cell lengths 6.389, 6.389, 5.251 Å; angles 90.00, 90.00, 120.00 degrees
Atoms (fractional coordinates):
Li (0.333, 0.667, 0.250)
Li (0.667, 0.333, 0.750)
Hg (0.170, 0.339, 0.750)
Hg (0.170, 0.830, 0.750)
Hg (0.339, 0.170, 0.250)
Hg (0.661, 0.830, 0.750)
Hg (0.830, 0.170, 0.250)
Hg (0.830, 0.661, 0.250)

Values from the calculation:
Total DFT energy (no corrections) in Ry per atom: -0.065